[1]
Compound: LiFeF3
Source: Materials Project
Functional: PBE+U
Structure: relaxed

```
data_LiFeF3
_chemical_formula_sum 'Li2 Fe2 F6'
_cell_length_a 3.235
_cell_length_b 6.304
_cell_length_c 6.305
_cell_angle_alpha 70.40
_cell_angle_beta 89.80
_cell_angle_gamma 89.81
_symmetry_space_group_name_H-M 'P 1'
_symmetry_Int_Tables_number 1
loop_
_symmetry_equiv_pos_as_xyz
'x,y,z'
loop_
_atom_site_label
_atom_site_fract_x
_atom_site_fract_y
_atom_site_fract_z
_atom_site_occupancy
Li1 0.000 0.000 0.000 1
Li2 0.001 0.499 0.507 1
Fe1 0.499 0.000 0.506 1
Fe2 0.499 0.498 0.006 1
F1 0.000 0.553 0.192 1
F2 0.490 0.137 0.147 1
F3 0.490 0.857 0.867 1
F4 0.997 0.436 0.824 1
F5 0.997 0.814 0.452 1
F6 0.999 0.181 0.569 1
```

Values from the calculation:
ΔE_f, eV per atom: -2.7507
Total DFT energy (no corrections), eV/atom: -5.25

[2]
Compound: LiFeF3
Source: Materials Project
Functional: PBE+U
Structure: relaxed

```
data_LiFeF3
_chemical_formula_sum 'Li2 Fe2 F6'
_cell_length_a 4.832
_cell_length_b 5.063
_cell_length_c 5.076
_cell_angle_alpha 61.27
_cell_angle_beta 89.91
_cell_angle_gamma 89.87
_symmetry_space_group_name_H-M 'P 1'
_symmetry_Int_Tables_number 1
loop_
_symmetry_equiv_pos_as_xyz
'x,y,z'
loop_
_atom_site_label
_atom_site_fract_x
_atom_site_fract_y
_atom_site_fract_z
_atom_site_occupancy
Li1 0.000 0.000 0.000 1
Li2 0.500 0.001 0.003 1
Fe1 0.002 0.335 0.334 1
Fe2 0.502 0.667 0.666 1
F1 0.251 0.317 0.003 1
F2 0.251 0.685 0.316 1
F3 0.252 0.996 0.685 1
F4 0.751 0.007 0.315 1
F5 0.751 0.318 0.685 1
F6 0.752 0.686 0.997 1
```

Values from the calculation:
ΔE_f, eV per atom: -2.7839
Total DFT energy (no corrections), eV/atom: -5.28

[3]
Compound: LiFe2F7
Source: Materials Project
Functional: PBE+U
Structure: relaxed

```
data_LiFe2F7
_chemical_formula_sum 'Li4 Fe8 F28'
_cell_length_a 13.005
_cell_length_b 5.103
_cell_length_c 7.471
_cell_angle_alpha 90.00
_cell_angle_beta 95.57
_cell_angle_gamma 90.00
_symmetry_space_group_name_H-M 'P 1 21/c 1'
_symmetry_Int_Tables_number 14
loop_
_symmetry_equiv_pos_as_xyz
'x,y,z'
'-x,-y,-z'
'-x,y+1/2,-z+1/2'
'x,-y+1/2,z+1/2'
loop_
_atom_site_label
_atom_site_fract_x
_atom_site_fract_y
_atom_site_fract_z
_atom_site_occupancy
Li1 0.071 0.245 0.353 1
Fe1 0.181 0.748 0.156 1
Fe2 0.393 0.247 0.724 1
F1 0.057 0.560 0.688 1
F2 0.106 0.055 0.577 1
F3 0.177 0.605 0.408 1
F4 0.264 0.057 0.248 1
F5 0.313 0.562 0.142 1
F6 0.392 0.134 0.974 1
F7 0.478 0.551 0.801 1
```

Values from the calculation:
ΔE_f, eV per atom: -2.7387
Total DFT energy (no corrections), eV/atom: -5.19

[4]
Compound: Li2FeF5
Source: Materials Project
Functional: PBE+U
Structure: relaxed

```
data_Li2FeF5
_chemical_formula_sum 'Li8 Fe4 F20'
_cell_length_a 5.121
_cell_length_b 8.127
_cell_length_c 9.815
_cell_angle_alpha 90.00
_cell_angle_beta 90.00
_cell_angle_gamma 90.00
_symmetry_space_group_name_H-M 'P 21 21 21'
_symmetry_Int_Tables_number 19
loop_
_symmetry_equiv_pos_as_xyz
'x,y,z'
'-x+1/2,-y,z+1/2'
'x+1/2,-y+1/2,-z'
'-x,y+1/2,-z+1/2'
loop_
_atom_site_label
_atom_site_fract_x
_atom_site_fract_y
_atom_site_fract_z
_atom_site_occupancy
Li1 0.026 0.138 0.433 1
Li2 0.055 0.615 0.736 1
Fe1 0.042 0.034 0.118 1
F1 0.134 0.522 0.210 1
F2 0.138 0.092 0.938 1
F3 0.213 0.829 0.709 1
F4 0.229 0.577 0.936 1
F5 0.242 0.838 0.119 1
```

Values from the calculation:
ΔE_f, eV per atom: -2.8340
Total DFT energy (no corrections), eV/atom: -5.00
Maximum piezoelectric response, C/m2: 1.312